HfAlPt PBE-GGA relaxed; formation energy = -1.04 eV/atom; calculated volume = 317.4 Å³/cell; space-group type = P-62c (190)
1.0
-0.137 7.055 0.437
-1.199 -3.181 -6.199
-7.173 -0.233 1.506
Pt Hf Al
6 6 6
direct
0.000 0.000 0.750
0.000 0.000 0.250
0.333 0.667 0.030
0.333 0.667 0.470
0.667 0.333 0.970
0.667 0.333 0.530
0.393 0.415 0.750
0.415 0.393 0.250
0.022 0.607 0.750
0.978 0.585 0.250
0.607 0.022 0.250
0.585 0.978 0.750
0.000 0.258 0.500
0.258 0.000 0.000
0.258 0.000 0.500
0.742 0.742 0.000
0.742 0.742 0.500
0.000 0.258 0.000